! Cu2PPd2 | Materials Project | PBE-GGA | relaxed; values from VASP
! - Crystal system: orthorhombic
! - Formation energy: -0.28 eV per atom
! - Theoretical density: 8.8 g cm⁻³
&SYSTEM
  ibrav = 0, nat = 10, ntyp = 3
/
ATOMIC_SPECIES
Cu 63.55 Cu.upf
Pd 106.42 Pd.upf
P 30.97 P.upf
CELL_PARAMETERS angstrom
-3.706 2.858 -1.879
1.452 -1.439 -4.610
-3.430 -4.279 0.256
ATOMIC_POSITIONS angstrom
Cu -3.990 0.672 -2.598
Cu -2.491 -4.146 -4.173
Pd -1.502 -0.026 -1.772
P -3.594 -0.743 -0.809
Cu -0.574 -2.134 -3.718
Pd -4.110 -1.603 -4.217
Cu -5.503 -1.595 -1.888
Pd -2.668 -2.623 -1.935
Pd -1.847 0.080 -4.635
P 0.700 -0.752 -2.303



! KI2O6 | Materials Project | PBE-GGA | relaxed; values from VASP
! - Crystal system: monoclinic
! - Formation energy: -1.04 eV per atom
! - Theoretical density: 4.1 g cm⁻³
&SYSTEM
  ibrav = 0, nat = 72, ntyp = 3
/
ATOMIC_SPECIES
O 16.00 O.upf
I 126.90 I.upf
K 39.10 K.upf
CELL_PARAMETERS angstrom
7.753 0.000 0.000
0.000 7.205 0.000
0.000 3.833 22.590
ATOMIC_POSITIONS angstrom
O 1.623 4.547 12.069
O 5.494 5.131 16.274
O 4.881 6.186 19.622
O 2.872 4.852 2.968
I 2.838 6.123 7.985
I 0.843 1.639 0.193
O 0.708 2.430 3.677
O 7.148 2.436 1.150
O 3.271 6.685 10.145
I 4.782 7.962 19.197
O 3.169 4.347 14.972
O 6.136 3.215 4.979
O 2.253 2.630 0.774
O 3.144 3.163 5.167
I 6.715 2.999 3.310
O 5.260 2.676 14.873
I 2.787 4.290 19.323
O 7.020 5.959 6.128
O 3.172 4.413 8.526
O 1.004 6.768 14.263
O 4.581 6.625 14.065
O 6.130 6.492 10.521
I 6.663 8.665 14.562
O 0.733 5.079 16.462
I 1.038 8.039 19.281
O 2.493 8.362 7.717
O 4.921 2.969 2.505
O 6.709 4.886 13.800
K 0.913 7.268 11.473
I 4.719 7.482 11.103
O 4.609 7.875 17.423
I 3.034 3.556 11.488
O 4.941 1.837 10.194
O 7.049 4.709 2.770
K 4.887 2.458 7.205
O 5.500 8.408 21.816
O 6.674 8.675 12.736
K 1.010 6.664 4.090
O 6.749 4.270 8.327
I 6.848 6.046 7.902
O 1.617 7.824 17.611
O 4.956 6.758 1.441
O 4.584 6.691 7.618
I 0.905 4.992 14.688
O 1.064 7.284 1.101
I 4.915 4.915 14.605
O 7.045 8.608 18.913
O 2.260 5.907 6.316
O 1.079 2.364 9.854
O 2.832 8.069 20.085
I 4.966 6.748 3.267
O 0.705 6.329 19.821
O 4.482 4.353 12.445
O 2.798 4.280 21.149
O 0.365 9.670 14.955
O 1.384 10.279 19.012
O 4.242 3.285 18.930
K 4.789 5.686 22.413
O 0.605 8.602 21.440
O 1.044 6.152 8.790
I 1.090 2.373 8.028
K 2.866 8.580 15.385
O 6.370 0.760 3.578
O 2.812 9.201 12.396
K 6.743 4.374 18.500
K 2.964 5.352 0.178
I 6.910 9.399 22.398
I 2.971 3.076 3.393
K 6.841 3.770 11.117
O 7.388 1.369 7.635
O 6.689 3.754 21.489
O 3.511 7.753 3.660



! ZnCdSe2 | Materials Project | PBE-GGA | relaxed; values from VASP
! - Maximum piezoelectric response: 0.018 C/m²
! - Crystal system: tetragonal
! - Formation energy: -0.89 eV per atom
! - Theoretical density: 5.2 g cm⁻³
&SYSTEM
  ibrav = 0, nat = 4, ntyp = 3
/
ATOMIC_SPECIES
Cd 112.41 Cd.upf
Se 78.96 Se.upf
Zn 65.41 Zn.upf
CELL_PARAMETERS angstrom
4.217 0.000 0.000
0.000 4.217 0.000
0.000 0.000 5.996
ATOMIC_POSITIONS angstrom
Cd 0.000 0.000 0.000
Se 0.000 2.109 4.358
Se 2.109 0.000 1.638
Zn 2.109 2.109 2.998



! Ho2SiSO4 | Materials Project | PBE-GGA | relaxed; values from VASP
! - Crystal system: orthorhombic
! - Formation energy: -3.46 eV per atom
! - Theoretical density: 6.7 g cm⁻³
&SYSTEM
  ibrav = 0, nat = 32, ntyp = 4
/
ATOMIC_SPECIES
O 16.00 O.upf
Si 28.09 Si.upf
Ho 164.93 Ho.upf
S 32.06 S.upf
CELL_PARAMETERS angstrom
6.114 0.000 0.000
0.000 6.922 0.000
0.000 0.000 10.695
ATOMIC_POSITIONS angstrom
O 5.874 1.646 4.035
Si 0.746 1.730 0.000
Ho 5.159 6.728 2.674
Ho 2.347 5.191 0.000
S 2.914 2.168 8.021
O 4.371 3.921 5.656
Si 5.368 5.191 0.000
O 4.371 6.461 0.309
S 3.200 5.629 8.021
O 0.240 5.276 9.383
O 1.743 3.001 0.309
Si 0.746 1.730 5.348
O 0.240 5.276 6.660
O 1.743 0.460 5.656
O 4.371 3.921 10.386
O 1.743 3.001 5.039
O 0.240 5.107 4.035
Ho 3.767 1.730 0.000
O 0.240 5.107 1.312
Ho 0.955 3.267 2.674
Ho 3.767 1.730 5.348
Ho 5.159 3.655 8.021
O 5.874 1.815 9.383
O 1.743 0.460 10.386
Ho 2.347 5.191 5.348
O 5.874 1.646 1.312
Si 5.368 5.191 5.348
Ho 0.955 0.194 8.021
S 3.200 4.754 2.674
O 5.874 1.815 6.660
O 4.371 6.461 5.039
S 2.914 1.293 2.674



! ScZnNi2 | Materials Project | PBE-GGA | relaxed; values from VASP
! - Crystal system: cubic
! - Formation energy: -0.42 eV per atom
! - Theoretical density: 6.9 g cm⁻³
&SYSTEM
  ibrav = 0, nat = 4, ntyp = 3
/
ATOMIC_SPECIES
Ni 58.69 Ni.upf
Zn 65.41 Zn.upf
Sc 44.96 Sc.upf
CELL_PARAMETERS angstrom
0.000 3.022 3.022
3.022 0.000 3.022
3.022 3.022 0.000
ATOMIC_POSITIONS angstrom
Ni 1.511 1.511 1.511
Zn 0.000 0.000 0.000
Sc 3.022 3.022 3.022
Ni 4.533 4.533 4.533



! Te7As5I | Materials Project | PBE-GGA | relaxed; values from VASP
! - Crystal system: triclinic
! - Formation energy: 0.03 eV per atom
! - Theoretical density: 5.7 g cm⁻³
&SYSTEM
  ibrav = 0, nat = 13, ntyp = 3
/
ATOMIC_SPECIES
As 74.92 As.upf
Te 127.60 Te.upf
I 126.90 I.upf
CELL_PARAMETERS angstrom
6.823 0.000 0.000
-0.146 7.429 0.000
-1.702 -2.238 8.037
ATOMIC_POSITIONS angstrom
As -0.083 7.153 0.225
Te 1.207 5.797 3.878
Te 0.883 -0.954 7.617
Te 3.961 6.030 0.512
Te -0.058 0.932 2.668
As 1.152 5.057 1.162
Te 3.621 0.122 3.599
Te -0.312 1.481 6.478
As 2.458 2.532 6.207
Te 5.455 3.380 1.603
As 2.553 2.134 2.177
As 3.726 0.550 7.006
I 5.136 4.362 5.089